Entry 1:
Crystalline LuScPd2 at its relaxed geometry. Source: the Materials Project database, functional GGA-PBE.

Calculated formation energy: -0.933 eV/atom
Electronic total energy: -24.94 eV per cell
Mass density: 9.3 g cm⁻³

Structure (CIF):
```
data_LuScPd2
_chemical_formula_sum 'Lu1 Sc1 Pd2'
_cell_length_a 4.7823
_cell_length_b 4.7823
_cell_length_c 4.7823
_cell_angle_alpha 60.00
_cell_angle_beta 60.00
_cell_angle_gamma 60.00
_space_group_name_H-M_alt 'P 1'
_space_group_IT_number 1
_space_group_name_Hall 'P 1'
loop_
_atom_site_label
_atom_site_fract_x
_atom_site_fract_y
_atom_site_fract_z
_atom_site_occupancy
Lu1 0.5000 0.5000 0.5000 1
Sc1 0.0000 0.0000 0.0000 1
Pd1 0.2500 0.2500 0.2500 1
Pd2 0.7500 0.7500 0.7500 1
```

---

Entry 2:
Crystalline BaTe3H15C3N3 at its relaxed geometry. Source: the Materials Project database, functional GGA-PBE.

Calculated formation energy: -0.364 eV/atom
Electronic total energy: -491.81 eV per cell
Mass density: 2.9 g cm⁻³

Structure (CIF):
```
data_BaTe3H15C3N3
_chemical_formula_sum 'Ba4 Te12 H60 C12 N12'
_cell_length_a 14.4980
_cell_length_b 14.4980
_cell_length_c 15.9707
_cell_angle_alpha 61.22
_cell_angle_beta 61.22
_cell_angle_gamma 29.33
_space_group_name_H-M_alt 'P 1'
_space_group_IT_number 1
_space_group_name_Hall 'P 1'
loop_
_atom_site_label
_atom_site_fract_x
_atom_site_fract_y
_atom_site_fract_z
_atom_site_occupancy
Ba1 0.0623 0.5583 0.0897 1
Ba2 0.4417 0.9377 0.4103 1
Ba3 0.9377 0.4417 0.9103 1
Ba4 0.5583 0.0623 0.5897 1
Te1 0.2636 0.1498 0.0849 1
Te2 0.8502 0.7364 0.4151 1
Te3 0.7364 0.8502 0.9151 1
Te4 0.1498 0.2636 0.5849 1
Te5 0.0189 0.2763 0.2648 1
Te6 0.7237 0.9811 0.2352 1
Te7 0.9811 0.7237 0.7352 1
Te8 0.2763 0.0189 0.7648 1
Te9 0.9724 0.4596 0.3468 1
Te10 0.5404 0.0276 0.1532 1
Te11 0.0276 0.5404 0.6532 1
Te12 0.4596 0.9724 0.8468 1
H1 0.1436 0.5981 0.2175 1
H2 0.4019 0.8564 0.2825 1
H3 0.8564 0.4019 0.7825 1
H4 0.5981 0.1436 0.7175 1
H5 0.3434 0.3704 0.2064 1
H6 0.6296 0.6566 0.2936 1
H7 0.6566 0.6296 0.7936 1
H8 0.3704 0.3434 0.7064 1
H9 0.4580 0.4293 0.0551 1
H10 0.5707 0.5420 0.4449 1
H11 0.5420 0.5707 0.9449 1
H12 0.4293 0.4580 0.5551 1
H13 0.4250 0.4832 0.1542 1
H14 0.5168 0.5750 0.3458 1
H15 0.5750 0.5168 0.8458 1
H16 0.4832 0.4250 0.6542 1
H17 0.2498 0.6692 0.0754 1
H18 0.3308 0.7502 0.4246 1
H19 0.7502 0.3308 0.9246 1
H20 0.6692 0.2498 0.5754 1
H21 0.4077 0.2659 0.9296 1
H22 0.7341 0.5923 0.5704 1
H23 0.5923 0.7341 0.0704 1
H24 0.2659 0.4077 0.4296 1
H25 0.2558 0.4726 0.8608 1
H26 0.5274 0.7442 0.6392 1
H27 0.7442 0.5274 0.1392 1
H28 0.4726 0.2558 0.3608 1
H29 0.3984 0.5048 0.8464 1
H30 0.4952 0.6016 0.6536 1
H31 0.6016 0.4952 0.1536 1
H32 0.5048 0.3984 0.3464 1
H33 0.5824 0.2775 0.8161 1
H34 0.7225 0.4176 0.6839 1
H35 0.4176 0.7225 0.1839 1
H36 0.2775 0.5824 0.3161 1
H37 0.5467 0.2978 0.9328 1
H38 0.7022 0.4533 0.5672 1
H39 0.4533 0.7022 0.0672 1
H40 0.2978 0.5467 0.4328 1
H41 0.8278 0.9523 0.9674 1
H42 0.0477 0.1722 0.5326 1
H43 0.1722 0.0477 0.0326 1
H44 0.9523 0.8278 0.4674 1
H45 0.9234 0.9175 0.0265 1
H46 0.0825 0.0766 0.4735 1
H47 0.0766 0.0825 0.9735 1
H48 0.9175 0.9234 0.5265 1
H49 0.1590 0.8205 0.8882 1
H50 0.1795 0.8410 0.6118 1
H51 0.8410 0.1795 0.1118 1
H52 0.8205 0.1590 0.3882 1
H53 0.9278 0.0484 0.8547 1
H54 0.9516 0.0722 0.6453 1
H55 0.0722 0.9516 0.1453 1
H56 0.0484 0.9278 0.3547 1
H57 0.0660 0.8418 0.8261 1
H58 0.1582 0.9340 0.6739 1
H59 0.9340 0.1582 0.1739 1
H60 0.8418 0.0660 0.3261 1
C1 0.3510 0.5220 0.1114 1
C2 0.4780 0.6490 0.3886 1
C3 0.6490 0.4780 0.8886 1
C4 0.5220 0.3510 0.6114 1
C5 0.4728 0.3668 0.8746 1
C6 0.6332 0.5272 0.6254 1
C7 0.5272 0.6332 0.1254 1
C8 0.3668 0.4728 0.3746 1
C9 0.0293 0.8978 0.8814 1
C10 0.1022 0.9707 0.6186 1
C11 0.9707 0.1022 0.1186 1
C12 0.8978 0.0293 0.3814 1
N1 0.2503 0.5051 0.1678 1
N2 0.4949 0.7497 0.3322 1
N3 0.7497 0.4949 0.8322 1
N4 0.5051 0.2503 0.6678 1
N5 0.3342 0.3965 0.9134 1
N6 0.6035 0.6658 0.5866 1
N7 0.6658 0.6035 0.0866 1
N8 0.3965 0.3342 0.4134 1
N9 0.9550 0.8696 0.9734 1
N10 0.1304 0.0450 0.5266 1
N11 0.0450 0.1304 0.0266 1
N12 0.8696 0.9550 0.4734 1
```

---

Entry 3:
Crystalline Ho5IrBr9 at its relaxed geometry. Source: the Materials Project database, functional GGA-PBE.

Calculated formation energy: -2.010 eV/atom
Electronic total energy: -574.58 eV per cell
Mass density: 6.0 g cm⁻³

Structure (CIF):
```
data_Ho5IrBr9
_chemical_formula_sum 'Ho40 Ir8 Br72'
_cell_length_a 12.9395
_cell_length_b 12.9395
_cell_length_c 24.7470
_cell_angle_alpha 105.16
_cell_angle_beta 105.16
_cell_angle_gamma 90.00
_space_group_name_H-M_alt 'P 1'
_space_group_IT_number 1
_space_group_name_Hall 'P 1'
loop_
_atom_site_label
_atom_site_fract_x
_atom_site_fract_y
_atom_site_fract_z
_atom_site_occupancy
Ho1 0.1075 0.2451 0.3182 1
Ho2 0.2107 0.5731 0.3182 1
Ho3 0.7451 0.7107 0.8182 1
Ho4 0.0731 0.6075 0.8182 1
Ho5 0.8925 0.7549 0.6818 1
Ho6 0.7893 0.4269 0.6818 1
Ho7 0.2549 0.2893 0.1818 1
Ho8 0.9269 0.3925 0.1818 1
Ho9 0.8348 0.3597 0.3103 1
Ho10 0.4755 0.4506 0.3103 1
Ho11 0.8597 0.9755 0.8103 1
Ho12 0.9506 0.3348 0.8103 1
Ho13 0.1652 0.6403 0.6897 1
Ho14 0.5245 0.5494 0.6897 1
Ho15 0.1403 0.0245 0.1897 1
Ho16 0.0494 0.6652 0.1897 1
Ho17 0.9185 0.6275 0.3075 1
Ho18 0.3890 0.1800 0.3075 1
Ho19 0.1275 0.8890 0.8075 1
Ho20 0.6800 0.4185 0.8075 1
Ho21 0.0815 0.3725 0.6925 1
Ho22 0.6110 0.8200 0.6925 1
Ho23 0.8725 0.1110 0.1925 1
Ho24 0.3200 0.5815 0.1925 1
Ho25 0.8682 0.9171 0.4329 1
Ho26 0.5646 0.0157 0.4329 1
Ho27 0.4171 0.0646 0.9329 1
Ho28 0.5157 0.3682 0.9329 1
Ho29 0.1318 0.0829 0.5671 1
Ho30 0.4354 0.9843 0.5671 1
Ho31 0.5829 0.9354 0.0671 1
Ho32 0.4843 0.6318 0.0671 1
Ho33 0.0693 0.5056 0.4209 1
Ho34 0.3515 0.4153 0.4209 1
Ho35 0.0056 0.8515 0.9209 1
Ho36 0.9153 0.5693 0.9209 1
Ho37 0.9307 0.4944 0.5791 1
Ho38 0.6485 0.5847 0.5791 1
Ho39 0.9944 0.1485 0.0791 1
Ho40 0.0847 0.4307 0.0791 1
Ir1 0.0239 0.4418 0.3029 1
Ir2 0.2790 0.3612 0.3029 1
Ir3 0.9418 0.7790 0.8029 1
Ir4 0.8612 0.5239 0.8029 1
Ir5 0.9761 0.5582 0.6971 1
Ir6 0.7210 0.6388 0.6971 1
Ir7 0.0582 0.2210 0.1971 1
Ir8 0.1388 0.4761 0.1971 1
Br1 0.9710 0.7159 0.4337 1
Br2 0.4627 0.2178 0.4337 1
Br3 0.2159 0.9627 0.9337 1
Br4 0.7178 0.4710 0.9337 1
Br5 0.0290 0.2841 0.5663 1
Br6 0.5373 0.7822 0.5663 1
Br7 0.7841 0.0373 0.0663 1
Br8 0.2822 0.5290 0.0663 1
Br9 0.8108 0.8363 0.3155 1
Br10 0.5047 0.9792 0.3155 1
Br11 0.3363 0.0047 0.8155 1
Br12 0.4792 0.3108 0.8155 1
Br13 0.1892 0.1637 0.6845 1
Br14 0.4953 0.0208 0.6845 1
Br15 0.6637 0.9953 0.1845 1
Br16 0.5208 0.6892 0.1845 1
Br17 0.1789 0.3250 0.4517 1
Br18 0.2728 0.6267 0.4517 1
Br19 0.8250 0.7728 0.9517 1
Br20 0.1267 0.6789 0.9517 1
Br21 0.8211 0.6750 0.5483 1
Br22 0.7272 0.3733 0.5483 1
Br23 0.1750 0.2272 0.0483 1
Br24 0.8733 0.3211 0.0483 1
Br25 0.8904 0.1446 0.3148 1
Br26 0.4244 0.6701 0.3148 1
Br27 0.6446 0.9244 0.8148 1
Br28 0.1701 0.3904 0.8148 1
Br29 0.1096 0.8554 0.6852 1
Br30 0.5756 0.3299 0.6852 1
Br31 0.3554 0.0756 0.1852 1
Br32 0.8299 0.6096 0.1852 1
Br33 0.7140 0.5442 0.3150 1
Br34 0.6009 0.2708 0.3150 1
Br35 0.0442 0.1009 0.8150 1
Br36 0.7708 0.2140 0.8150 1
Br37 0.2860 0.4558 0.6850 1
Br38 0.3991 0.7292 0.6850 1
Br39 0.9558 0.8991 0.1850 1
Br40 0.2292 0.7860 0.1850 1
Br41 0.8832 0.4150 0.4373 1
Br42 0.5541 0.5222 0.4373 1
Br43 0.9150 0.0541 0.9373 1
Br44 0.0222 0.3832 0.9373 1
Br45 0.1168 0.5850 0.5627 1
Br46 0.4459 0.4778 0.5627 1
Br47 0.0850 0.9459 0.0627 1
Br48 0.9778 0.6168 0.0627 1
Br49 0.2185 0.0393 0.3128 1
Br50 0.0943 0.7735 0.3128 1
Br51 0.5393 0.5943 0.8128 1
Br52 0.2735 0.7185 0.8128 1
Br53 0.7815 0.9607 0.6872 1
Br54 0.9057 0.2265 0.6872 1
Br55 0.4607 0.4057 0.1872 1
Br56 0.7265 0.2815 0.1872 1
Br57 0.7653 0.1074 0.4385 1
Br58 0.6732 0.8311 0.4385 1
Br59 0.6074 0.1732 0.9385 1
Br60 0.3311 0.2653 0.9385 1
Br61 0.2347 0.8926 0.5615 1
Br62 0.3268 0.1689 0.5615 1
Br63 0.3926 0.8268 0.0615 1
Br64 0.6689 0.7347 0.0615 1
Br65 0.0610 0.0276 0.4434 1
Br66 0.3825 0.9159 0.4434 1
Br67 0.5276 0.8825 0.9434 1
Br68 0.4159 0.5610 0.9434 1
Br69 0.9390 0.9724 0.5566 1
Br70 0.6175 0.0841 0.5566 1
Br71 0.4724 0.1175 0.0566 1
Br72 0.5841 0.4390 0.0566 1
```

---

Entry 4:
Crystalline Ba6MgIr6O18 at its relaxed geometry. Source: the Materials Project database, functional GGA-PBE.

Calculated formation energy: -1.928 eV/atom
Electronic total energy: -202.62 eV per cell
Mass density: 8.5 g cm⁻³

Structure (CIF):
```
data_Ba6MgIr6O18
_chemical_formula_sum 'Ba6 Mg1 Ir6 O18'
_cell_length_a 5.7027
_cell_length_b 5.9885
_cell_length_c 15.0467
_cell_angle_alpha 83.51
_cell_angle_beta 90.17
_cell_angle_gamma 118.80
_space_group_name_H-M_alt 'P 1'
_space_group_IT_number 1
_space_group_name_Hall 'P 1'
loop_
_atom_site_label
_atom_site_fract_x
_atom_site_fract_y
_atom_site_fract_z
_atom_site_occupancy
Ba1 0.0063 0.9939 0.7504 1
Ba2 0.0528 0.1539 0.2794 1
Ba3 0.3108 0.6186 0.8996 1
Ba4 0.3496 0.6886 0.5903 1
Ba5 0.6188 0.2242 0.0576 1
Ba6 0.7018 0.4203 0.4238 1
Mg1 0.8532 0.7151 0.1713 1
Ir1 0.9490 0.8974 0.9928 1
Ir2 0.0259 0.0519 0.5048 1
Ir3 0.3412 0.6904 0.1609 1
Ir4 0.3757 0.7646 0.3492 1
Ir5 0.6528 0.3051 0.8375 1
Ir6 0.6726 0.3416 0.6530 1
O1 0.2234 0.4223 0.4413 1
O2 0.5894 0.6707 0.0691 1
O3 0.8297 0.6807 0.5658 1
O4 0.3181 0.0653 0.9230 1
O5 0.0613 0.6603 0.0720 1
O6 0.1607 0.9102 0.4084 1
O7 0.8712 0.1588 0.9120 1
O8 0.8882 0.1854 0.5995 1
O9 0.6902 0.9715 0.4294 1
O10 0.0444 0.0880 0.1011 1
O11 0.3564 0.1320 0.5769 1
O12 0.8006 0.6331 0.8994 1
O13 0.4957 0.4584 0.7420 1
O14 0.5514 0.6184 0.2652 1
O15 0.5257 0.0347 0.7522 1
O16 0.9632 0.4904 0.7433 1
O17 0.4970 0.0133 0.2387 1
O18 0.0560 0.6077 0.2641 1
```

---

Entry 5:
Crystalline LiCa11Sb9 at its relaxed geometry. Source: the Materials Project database, functional GGA-PBE.

Calculated formation energy: -1.088 eV/atom
Electronic total energy: -328.97 eV per cell
Mass density: 4.1 g cm⁻³

Structure (CIF):
```
data_LiCa11Sb9
_chemical_formula_sum 'Li4 Ca44 Sb36'
_cell_length_a 11.9614
_cell_length_b 11.9614
_cell_length_c 17.2974
_cell_angle_alpha 90.00
_cell_angle_beta 90.00
_cell_angle_gamma 90.00
_space_group_name_H-M_alt 'P 1'
_space_group_IT_number 1
_space_group_name_Hall 'P 1'
loop_
_atom_site_label
_atom_site_fract_x
_atom_site_fract_y
_atom_site_fract_z
_atom_site_occupancy
Li1 0.0965 0.0965 0.0000 1
Li2 0.9035 0.9035 0.0000 1
Li3 0.4035 0.5965 0.5000 1
Li4 0.5965 0.4035 0.5000 1
Ca1 0.2928 0.2928 0.0000 1
Ca2 0.7072 0.7072 0.0000 1
Ca3 0.2072 0.7928 0.5000 1
Ca4 0.7928 0.2072 0.5000 1
Ca5 0.1749 0.8251 0.0000 1
Ca6 0.8251 0.1749 0.0000 1
Ca7 0.6749 0.6749 0.5000 1
Ca8 0.3251 0.3251 0.5000 1
Ca9 0.0147 0.2497 0.1866 1
Ca10 0.9853 0.7503 0.8134 1
Ca11 0.9853 0.7503 0.1866 1
Ca12 0.2503 0.5147 0.6866 1
Ca13 0.4853 0.7497 0.3134 1
Ca14 0.0147 0.2497 0.8134 1
Ca15 0.7497 0.4853 0.3134 1
Ca16 0.5147 0.2503 0.6866 1
Ca17 0.7497 0.4853 0.6866 1
Ca18 0.5147 0.2503 0.3134 1
Ca19 0.2503 0.5147 0.3134 1
Ca20 0.4853 0.7497 0.6866 1
Ca21 0.2497 0.0147 0.8134 1
Ca22 0.7503 0.9853 0.1866 1
Ca23 0.7503 0.9853 0.8134 1
Ca24 0.2497 0.0147 0.1866 1
Ca25 0.0000 0.0000 0.3430 1
Ca26 0.0000 0.0000 0.6570 1
Ca27 0.5000 0.5000 0.8430 1
Ca28 0.5000 0.5000 0.1570 1
Ca29 0.0193 0.3429 0.3958 1
Ca30 0.9807 0.6571 0.6042 1
Ca31 0.9807 0.6571 0.3958 1
Ca32 0.1571 0.5193 0.8958 1
Ca33 0.4807 0.8429 0.1042 1
Ca34 0.0193 0.3429 0.6042 1
Ca35 0.8429 0.4807 0.1042 1
Ca36 0.5193 0.1571 0.8958 1
Ca37 0.8429 0.4807 0.8958 1
Ca38 0.5193 0.1571 0.1042 1
Ca39 0.1571 0.5193 0.1042 1
Ca40 0.4807 0.8429 0.8958 1
Ca41 0.3429 0.0193 0.6042 1
Ca42 0.6571 0.9807 0.3958 1
Ca43 0.6571 0.9807 0.6042 1
Ca44 0.3429 0.0193 0.3958 1
Sb1 0.0320 0.3333 0.0000 1
Sb2 0.9680 0.6667 0.0000 1
Sb3 0.1667 0.5320 0.5000 1
Sb4 0.4680 0.8333 0.5000 1
Sb5 0.8333 0.4680 0.5000 1
Sb6 0.5320 0.1667 0.5000 1
Sb7 0.3333 0.0320 0.0000 1
Sb8 0.6667 0.9680 0.0000 1
Sb9 0.3147 0.3147 0.1769 1
Sb10 0.6853 0.6853 0.8231 1
Sb11 0.6853 0.6853 0.1769 1
Sb12 0.1853 0.8147 0.6769 1
Sb13 0.1853 0.8147 0.3231 1
Sb14 0.3147 0.3147 0.8231 1
Sb15 0.8147 0.1853 0.3231 1
Sb16 0.8147 0.1853 0.6769 1
Sb17 0.2231 0.2231 0.3218 1
Sb18 0.7769 0.7769 0.6782 1
Sb19 0.7769 0.7769 0.3218 1
Sb20 0.2769 0.7231 0.8218 1
Sb21 0.2769 0.7231 0.1782 1
Sb22 0.2231 0.2231 0.6782 1
Sb23 0.7231 0.2769 0.1782 1
Sb24 0.7231 0.2769 0.8218 1
Sb25 0.0000 0.5000 0.2500 1
Sb26 0.0000 0.5000 0.7500 1
Sb27 0.5000 0.0000 0.2500 1
Sb28 0.5000 0.0000 0.7500 1
Sb29 0.0000 0.0000 0.1335 1
Sb30 0.0000 0.0000 0.8665 1
Sb31 0.5000 0.5000 0.6335 1
Sb32 0.5000 0.5000 0.3665 1
Sb33 0.3755 0.6245 0.0000 1
Sb34 0.6245 0.3755 0.0000 1
Sb35 0.8755 0.8755 0.5000 1
Sb36 0.1245 0.1245 0.5000 1
```

---

Entry 6:
Crystalline Ba5CrN5 at its relaxed geometry. Source: the Materials Project database, functional GGA-PBE.

Calculated formation energy: -0.885 eV/atom
Electronic total energy: -137.72 eV per cell
Mass density: 4.8 g cm⁻³

Structure (CIF):
```
data_Ba5CrN5
_chemical_formula_sum 'Ba10 Cr2 N10'
_cell_length_a 7.9880
_cell_length_b 7.9880
_cell_length_c 9.5119
_cell_angle_alpha 76.21
_cell_angle_beta 76.21
_cell_angle_gamma 96.18
_space_group_name_H-M_alt 'P 1'
_space_group_IT_number 1
_space_group_name_Hall 'P 1'
loop_
_atom_site_label
_atom_site_fract_x
_atom_site_fract_y
_atom_site_fract_z
_atom_site_occupancy
Ba1 0.3887 0.3887 0.3834 1
Ba2 0.6113 0.6113 0.6166 1
Ba3 0.6642 0.6642 0.0073 1
Ba4 0.3358 0.3358 0.9927 1
Ba5 0.9252 0.9252 0.2009 1
Ba6 0.0748 0.0748 0.7991 1
Ba7 0.5633 0.0925 0.7583 1
Ba8 0.9075 0.4367 0.2417 1
Ba9 0.4367 0.9075 0.2417 1
Ba10 0.0925 0.5633 0.7583 1
Cr1 0.7574 0.2426 0.0000 1
Cr2 0.2426 0.7574 0.0000 1
N1 0.6519 0.6519 0.3119 1
N2 0.3481 0.3481 0.6881 1
N3 0.7166 0.0239 0.9922 1
N4 0.9761 0.2834 0.0078 1
N5 0.2834 0.9761 0.0078 1
N6 0.0239 0.7166 0.9922 1
N7 0.3865 0.7303 0.8386 1
N8 0.2697 0.6135 0.1614 1
N9 0.6135 0.2697 0.1614 1
N10 0.7303 0.3865 0.8386 1
```

---

Entry 7:
Crystalline As2O3 at its relaxed geometry. Source: the Materials Project database, functional GGA-PBE.

Calculated formation energy: -1.625 eV/atom
Electronic total energy: -241.83 eV per cell
Mass density: 3.6 g cm⁻³

Structure (CIF):
```
data_As2O3
_chemical_formula_sum 'As16 O24'
_cell_length_a 4.6835
_cell_length_b 11.3210
_cell_length_c 13.8504
_cell_angle_alpha 81.48
_cell_angle_beta 90.00
_cell_angle_gamma 90.00
_space_group_name_H-M_alt 'P 1'
_space_group_IT_number 1
_space_group_name_Hall 'P 1'
loop_
_atom_site_label
_atom_site_fract_x
_atom_site_fract_y
_atom_site_fract_z
_atom_site_occupancy
As1 0.2586 0.5956 0.7718 1
As2 0.7586 0.4044 0.7282 1
As3 0.7414 0.4044 0.2282 1
As4 0.2414 0.5956 0.2718 1
As5 0.3157 0.6601 0.5387 1
As6 0.8157 0.3399 0.9613 1
As7 0.6843 0.3399 0.4613 1
As8 0.1843 0.6601 0.0387 1
As9 0.8089 0.9087 0.2231 1
As10 0.3089 0.0913 0.2769 1
As11 0.1911 0.0913 0.7769 1
As12 0.6911 0.9087 0.7231 1
As13 0.8159 0.8424 0.4556 1
As14 0.3159 0.1576 0.0444 1
As15 0.1841 0.1576 0.5444 1
As16 0.6841 0.8424 0.9556 1
O1 0.0867 0.4886 0.7018 1
O2 0.5867 0.5114 0.7982 1
O3 0.9133 0.5114 0.2982 1
O4 0.4133 0.4886 0.2018 1
O5 0.3543 0.6982 0.6630 1
O6 0.8543 0.3018 0.8370 1
O7 0.6457 0.3018 0.3370 1
O8 0.1457 0.6982 0.1630 1
O9 0.4406 0.8064 0.4796 1
O10 0.9406 0.1936 0.0204 1
O11 0.5594 0.1936 0.5204 1
O12 0.0594 0.8064 0.9796 1
O13 0.6689 0.0302 0.2853 1
O14 0.1689 0.9698 0.2147 1
O15 0.3311 0.9698 0.7147 1
O16 0.8311 0.0302 0.7853 1
O17 0.8385 0.7989 0.3327 1
O18 0.3385 0.2011 0.1673 1
O19 0.1615 0.2011 0.6673 1
O20 0.6615 0.7989 0.8327 1
O21 0.9404 0.6981 0.5178 1
O22 0.4404 0.3019 0.9822 1
O23 0.0596 0.3019 0.4822 1
O24 0.5596 0.6981 0.0178 1
```